Cs3PuH8O9: optimized geometry, PBE.

Cell: 8.7188 8.7188 8.2036 Å, 93.05 93.05 84.18°
Closest atoms and distances in Å follow each position.
Fractional coordinates of all 42 atoms:
Cs (0.0689, 0.9311, 0.7500)  6 O 3.08-3.39, 4 H 3.25-3.27
Cs (0.2112, 0.3891, 0.5494)  4 H 3.02-3.34, 7 O 3.10-3.38
Cs (0.3891, 0.2112, 0.0494)  4 H 3.02-3.34, 7 O 3.10-3.38
Cs (0.6109, 0.7888, 0.9506)  4 H 3.02-3.34, 7 O 3.10-3.38
Cs (0.7888, 0.6109, 0.4506)  4 H 3.02-3.34, 7 O 3.10-3.38
Cs (0.9311, 0.0689, 0.2500)  6 O 3.08-3.39, 4 H 3.25-3.27
Pu (0.0000, 0.5000, 0.0000)  4 O 1.89-1.91
Pu (0.5000, 0.0000, 0.5000)  4 O 1.89-1.91
H (0.0842, 0.7168, 0.3066)  1 O 0.98
H (0.2262, 0.7497, 0.4353)  1 O 1.01
H (0.2503, 0.7738, 0.0647)  1 O 1.01
H (0.2832, 0.9158, 0.1934)  1 O 0.98
H (0.3110, 0.5562, 0.9171)  1 O 0.97
H (0.3895, 0.5465, 0.1635)  1 O 1.01
H (0.4438, 0.6890, 0.5829)  1 O 0.97
H (0.4535, 0.6105, 0.3365)  1 O 1.01
H (0.5465, 0.3895, 0.6635)  1 O 1.01
H (0.5562, 0.3110, 0.4171)  1 O 0.97
H (0.6105, 0.4535, 0.8365)  1 O 1.01
H (0.6890, 0.4438, 0.0829)  1 O 0.97
H (0.7168, 0.0842, 0.8066)  1 O 0.98
H (0.7497, 0.2262, 0.9353)  1 O 1.01
H (0.7738, 0.2503, 0.5647)  1 O 1.01
H (0.9158, 0.2832, 0.6934)  1 O 0.98
O (0.0412, 0.4038, 0.2007)  1 Pu 1.89
O (0.0712, 0.3141, 0.8822)  1 Pu 1.91, 1 H 2.03
O (0.1101, 0.7485, 0.4207)  2 H 0.98-1.01
O (0.2515, 0.8899, 0.0793)  2 H 0.98-1.01
O (0.2559, 0.5849, 0.0160)  1 H 0.97
O (0.3141, 0.0712, 0.3822)  1 Pu 1.91, 1 H 2.03
O (0.4038, 0.0412, 0.7007)  1 Pu 1.89
O (0.4151, 0.7441, 0.4840)  1 H 0.97
O (0.4753, 0.5247, 0.2500)  2 H 1.01
O (0.5247, 0.4753, 0.7500)  2 H 1.01
O (0.5849, 0.2559, 0.5160)  1 H 0.97
O (0.5962, 0.9588, 0.2993)  1 Pu 1.89
O (0.6859, 0.9288, 0.6178)  1 Pu 1.91, 1 H 2.03
O (0.7441, 0.4151, 0.9840)  1 H 0.97
O (0.7485, 0.1101, 0.9207)  2 H 0.98-1.01
O (0.8899, 0.2515, 0.5793)  2 H 0.98-1.01
O (0.9288, 0.6859, 0.1178)  1 Pu 1.91, 1 H 2.03
O (0.9588, 0.5962, 0.7993)  1 Pu 1.89

Magnetic moment (μB per formula unit): 1.00
Total DFT energy (no corrections) (eV/atom): -5.75

---

Ta10SeS3: optimized geometry, PBE.

Cell: 3.3328 3.3328 22.1609 Å, 90.00 90.00 90.00°
Closest atoms and distances in Å follow each position.
Fractional coordinates of all 14 atoms:
Ta (0.0000, 0.0000, 0.0000)  1 S 2.72, 8 Ta 2.86-2.92
Ta (0.0000, 0.0000, 0.1461)  8 Ta 2.86-2.89, 1 Se 2.92
Ta (0.0000, 0.0000, 0.4227)  4 S 2.54
Ta (0.0000, 0.0000, 0.5749)  8 Ta 2.86-2.87
Ta (0.0000, 0.0000, 0.7267)  4 S 2.56
Ta (0.5000, 0.5000, 0.0729)  8 Ta 2.86
Ta (0.5000, 0.5000, 0.2219)  4 Se 2.66, 4 Ta 2.89
Ta (0.5000, 0.5000, 0.5014)  1 S 2.68, 8 Ta 2.87-2.93
Ta (0.5000, 0.5000, 0.6483)  1 S 2.73, 8 Ta 2.86-2.93
Ta (0.5000, 0.5000, 0.9223)  4 S 2.56
Se (0.0000, 0.0000, 0.2779)  5 Ta 2.66-2.92
S (0.0000, 0.0000, 0.8774)  5 Ta 2.56-2.72
S (0.5000, 0.5000, 0.3803)  5 Ta 2.54-2.68
S (0.5000, 0.5000, 0.7717)  5 Ta 2.56-2.73

Magnetic moment (μB per formula unit): 0.01
Total DFT energy (no corrections) (eV/atom): -10.06

---

Eu2SO6: optimized geometry, PBE.

Cell: 7.2500 7.2500 8.2910 Å, 106.94 106.94 34.21°
Closest atoms and distances in Å follow each position.
Fractional coordinates of all 18 atoms:
Eu (0.1605, 0.1767, 0.0837)  6 O 2.32-2.60
Eu (0.1767, 0.1605, 0.5837)  6 O 2.32-2.60
Eu (0.8233, 0.8395, 0.4163)  6 O 2.32-2.60
Eu (0.8395, 0.8233, 0.9163)  6 O 2.32-2.60
S (0.4447, 0.5553, 0.7500)  4 O 1.48-1.50
S (0.5553, 0.4447, 0.2500)  4 O 1.48-1.50
O (0.2371, 0.2723, 0.3773)  4 Eu 2.32-2.40
O (0.2378, 0.7610, 0.6037)  1 S 1.50
O (0.2390, 0.7622, 0.8963)  1 S 1.50
O (0.2670, 0.5471, 0.2036)  1 S 1.48
O (0.2723, 0.2371, 0.8773)  4 Eu 2.32-2.40
O (0.4529, 0.7330, 0.2964)  1 S 1.48
O (0.5471, 0.2670, 0.7036)  1 S 1.48
O (0.7277, 0.7629, 0.1227)  4 Eu 2.32-2.40
O (0.7330, 0.4529, 0.7964)  1 S 1.48
O (0.7610, 0.2378, 0.1037)  1 S 1.50
O (0.7622, 0.2390, 0.3963)  1 S 1.50
O (0.7629, 0.7277, 0.6227)  4 Eu 2.32-2.40

Total DFT energy (no corrections) (eV/atom): -8.31

---

RbAlBP2HO9: optimized geometry, PBE.

Cell: 9.3782 8.5309 9.5077 Å, 90.00 103.77 90.00°
Closest atoms and distances in Å follow each position.
Fractional coordinates of all 60 atoms:
Rb (0.1908, 0.1082, 0.0606)  10 O 2.96-3.26
Rb (0.1908, 0.3918, 0.5606)  10 O 2.96-3.26
Rb (0.8092, 0.6082, 0.4394)  10 O 2.96-3.26
Rb (0.8092, 0.8918, 0.9394)  10 O 2.96-3.26
Al (0.2003, 0.6539, 0.9314)  6 O 1.86-2.03
Al (0.2003, 0.8461, 0.4314)  6 O 1.86-2.03
Al (0.7997, 0.1539, 0.5686)  6 O 1.86-2.03
Al (0.7997, 0.3461, 0.0686)  6 O 1.86-2.03
B (0.3364, 0.0495, 0.6988)  4 O 1.47-1.50
B (0.3364, 0.4505, 0.1988)  4 O 1.47-1.50
B (0.6636, 0.5495, 0.8012)  4 O 1.47-1.50
B (0.6636, 0.9505, 0.3012)  4 O 1.47-1.50
P (0.0718, 0.5656, 0.2056)  4 O 1.53-1.60
P (0.0718, 0.9344, 0.7056)  4 O 1.53-1.60
P (0.4134, 0.7359, 0.7218)  4 O 1.52-1.57
P (0.4134, 0.7641, 0.2218)  4 O 1.52-1.57
P (0.5866, 0.2359, 0.7782)  4 O 1.52-1.57
P (0.5866, 0.2641, 0.2782)  4 O 1.52-1.57
P (0.9282, 0.0656, 0.2944)  4 O 1.53-1.60
P (0.9282, 0.4344, 0.7944)  4 O 1.53-1.60
H (0.3877, 0.0657, 0.4968)  1 O 0.97
H (0.3877, 0.4343, 0.9968)  1 O 0.97
H (0.6123, 0.5657, 0.0032)  1 O 0.97
H (0.6123, 0.9343, 0.5032)  1 O 0.97
O (0.0766, 0.5139, 0.8054)  1 P 1.53
O (0.0766, 0.9861, 0.3054)  1 P 1.53
O (0.0821, 0.6553, 0.0685)  1 P 1.53
O (0.0821, 0.8447, 0.5685)  1 P 1.53
O (0.1019, 0.6695, 0.3417)  1 P 1.54
O (0.1019, 0.8305, 0.8417)  1 P 1.54
O (0.1935, 0.0693, 0.7346)  1 B 1.47, 1 P 1.60
O (0.1935, 0.4307, 0.2346)  1 B 1.47, 1 P 1.60
O (0.3052, 0.0362, 0.5368)  1 H 0.97
O (0.3052, 0.4638, 0.0368)  1 H 0.97
O (0.3397, 0.6323, 0.8150)  1 P 1.53
O (0.3397, 0.8677, 0.3150)  1 P 1.53
O (0.3437, 0.7192, 0.5605)  1 P 1.52
O (0.3437, 0.7808, 0.0605)  1 P 1.52
O (0.4184, 0.5880, 0.2705)  1 B 1.48, 1 P 1.57
O (0.4184, 0.9120, 0.7705)  1 B 1.48, 1 P 1.57
O (0.4187, 0.1936, 0.7475)  1 B 1.47, 1 P 1.57
O (0.4187, 0.3064, 0.2475)  1 B 1.47, 1 P 1.57
O (0.5813, 0.6936, 0.7525)  1 B 1.47, 1 P 1.57
O (0.5813, 0.8064, 0.2525)  1 B 1.47, 1 P 1.57
O (0.5816, 0.0880, 0.2295)  1 B 1.48, 1 P 1.57
O (0.5816, 0.4120, 0.7295)  1 B 1.48, 1 P 1.57
O (0.6563, 0.2192, 0.9395)  1 P 1.52
O (0.6563, 0.2808, 0.4395)  1 P 1.52
O (0.6603, 0.1323, 0.6850)  1 P 1.53
O (0.6603, 0.3677, 0.1850)  1 P 1.53
O (0.6948, 0.5362, 0.9632)  1 H 0.97
O (0.6948, 0.9638, 0.4632)  1 H 0.97
O (0.8065, 0.5693, 0.7654)  1 B 1.47, 1 P 1.60
O (0.8065, 0.9307, 0.2654)  1 B 1.47, 1 P 1.60
O (0.8981, 0.1695, 0.1583)  1 P 1.54
O (0.8981, 0.3305, 0.6583)  1 P 1.54
O (0.9179, 0.1553, 0.4315)  1 P 1.53
O (0.9179, 0.3447, 0.9315)  1 P 1.53
O (0.9234, 0.0139, 0.6946)  1 P 1.53
O (0.9234, 0.4861, 0.1946)  1 P 1.53

Magnetic moment (μB per formula unit): 0.00
Total DFT energy (no corrections) (eV/atom): -7.03

---

Ba6Pr2YCu12O24: optimized geometry, PBE.

Cell: 5.5322 8.7124 13.9395 Å, 82.85 84.37 71.90°
Closest atoms and distances in Å follow each position.
Fractional coordinates of all 45 atoms:
Ba (0.0453, 0.0452, 0.2285)  10 O 2.77-3.02
Ba (0.2877, 0.2880, 0.7730)  10 O 2.77-3.05
Ba (0.3786, 0.3789, 0.2270)  10 O 2.77-3.05
Ba (0.6214, 0.6211, 0.7730)  10 O 2.77-3.05
Ba (0.7123, 0.7120, 0.2270)  10 O 2.77-3.05
Ba (0.9547, 0.9548, 0.7715)  10 O 2.77-3.02
Pr (0.3343, 0.3317, 0.5000)  8 O 2.49-2.50
Pr (0.6657, 0.6683, 0.5000)  8 O 2.49-2.50
Y (0.0000, 0.0000, 0.5000)  8 O 2.41-2.43
Cu (0.0959, 0.5961, 0.9244)  4 O 1.85-1.96
Cu (0.1445, 0.6472, 0.6275)  4 O 1.96-1.98
Cu (0.1871, 0.6894, 0.3723)  4 O 1.96-1.98
Cu (0.2375, 0.7375, 0.0756)  4 O 1.85-1.96
Cu (0.4293, 0.9292, 0.9243)  4 O 1.85-1.96
Cu (0.4789, 0.9787, 0.6270)  4 O 1.96-1.98
Cu (0.5211, 0.0213, 0.3730)  4 O 1.96-1.98
Cu (0.5707, 0.0708, 0.0757)  4 O 1.85-1.96
Cu (0.7625, 0.2625, 0.9244)  4 O 1.85-1.96
Cu (0.8129, 0.3106, 0.6277)  4 O 1.96-1.98
Cu (0.8555, 0.3528, 0.3725)  4 O 1.96-1.98
Cu (0.9041, 0.4039, 0.0756)  4 O 1.85-1.96
O (0.0184, 0.5184, 0.3891)  2 Cu 1.97
O (0.0731, 0.5731, 0.0624)  3 Cu 1.90-1.96
O (0.1180, 0.6178, 0.7905)  1 Cu 1.85
O (0.1453, 0.1447, 0.6092)  2 Cu 1.97-1.98
O (0.1817, 0.1810, 0.3908)  2 Cu 1.97
O (0.2155, 0.7152, 0.2095)  1 Cu 1.85
O (0.2607, 0.7603, 0.9379)  3 Cu 1.90-1.96
O (0.3075, 0.8199, 0.6069)  2 Cu 1.96
O (0.3428, 0.8555, 0.3930)  2 Cu 1.96-1.97
O (0.4065, 0.9061, 0.0622)  3 Cu 1.90-1.96
O (0.4513, 0.9513, 0.7904)  1 Cu 1.85
O (0.4811, 0.4812, 0.6131)  2 Cu 1.98
O (0.5189, 0.5188, 0.3869)  2 Cu 1.98
O (0.5487, 0.0487, 0.2096)  1 Cu 1.85
O (0.5935, 0.0939, 0.9378)  3 Cu 1.90-1.96
O (0.6572, 0.1445, 0.6070)  2 Cu 1.96-1.97
O (0.6925, 0.1801, 0.3931)  2 Cu 1.96
O (0.7393, 0.2397, 0.0621)  3 Cu 1.90-1.96
O (0.7845, 0.2848, 0.7905)  1 Cu 1.85
O (0.8183, 0.8190, 0.6092)  2 Cu 1.97
O (0.8547, 0.8553, 0.3908)  2 Cu 1.97-1.98
O (0.8820, 0.3822, 0.2095)  1 Cu 1.85
O (0.9269, 0.4269, 0.9376)  3 Cu 1.90-1.96
O (0.9816, 0.4816, 0.6109)  2 Cu 1.97

Distance to the lowest polymorph of the same formula (meV per atom): 7
Magnetic moment (μB per formula unit): 0.00

---

PmLuIn2: optimized geometry, PBE.

Cell: 7.5708 7.5708 7.5708 Å, 90.00 90.00 90.00°
Closest atoms and distances in Å follow each position.
Fractional coordinates of all 16 atoms:
Pm (0.0000, 0.0000, 0.0000)  8 In 3.28
Pm (0.0000, 0.5000, 0.5000)  8 In 3.28
Pm (0.5000, 0.0000, 0.5000)  8 In 3.28
Pm (0.5000, 0.5000, 0.0000)  8 In 3.28
Lu (0.0000, 0.0000, 0.5000)  8 In 3.28
Lu (0.0000, 0.5000, 0.0000)  8 In 3.28
Lu (0.5000, 0.0000, 0.0000)  8 In 3.28
Lu (0.5000, 0.5000, 0.5000)  8 In 3.28
In (0.2500, 0.2500, 0.2500)  4 Lu 3.28, 4 Pm 3.28
In (0.2500, 0.2500, 0.7500)  4 Pm 3.28, 4 Lu 3.28
In (0.2500, 0.7500, 0.2500)  4 Pm 3.28, 4 Lu 3.28
In (0.2500, 0.7500, 0.7500)  4 Pm 3.28, 4 Lu 3.28
In (0.7500, 0.2500, 0.2500)  4 Pm 3.28, 4 Lu 3.28
In (0.7500, 0.2500, 0.7500)  4 Pm 3.28, 4 Lu 3.28
In (0.7500, 0.7500, 0.2500)  4 Pm 3.28, 4 Lu 3.28
In (0.7500, 0.7500, 0.7500)  4 Pm 3.28, 4 Lu 3.28

Total DFT energy (no corrections) (eV/atom): -4.13

---

BaFe2P2: optimized geometry, PBE.

Cell: 3.8300 3.8300 12.3454 Å, 90.00 90.00 90.00°
Closest atoms and distances in Å follow each position.
Fractional coordinates of all 10 atoms:
Ba (0.0000, 0.0000, 0.0000)  8 P 3.36, 8 Fe 3.63
Ba (0.5000, 0.5000, 0.5000)  8 P 3.36, 8 Fe 3.63
Fe (0.0000, 0.5000, 0.2500)  4 P 2.21
Fe (0.0000, 0.5000, 0.7500)  4 P 2.21
Fe (0.5000, 0.0000, 0.2500)  4 P 2.21
Fe (0.5000, 0.0000, 0.7500)  4 P 2.21
P (0.0000, 0.0000, 0.3385)  4 Fe 2.21
P (0.0000, 0.0000, 0.6615)  4 Fe 2.21
P (0.5000, 0.5000, 0.1615)  4 Fe 2.21
P (0.5000, 0.5000, 0.8385)  4 Fe 2.21

Total DFT energy (no corrections) (eV/atom): -6.75

---

Ba3PN: optimized geometry, PBE.

Cell: 6.0601 6.0601 6.0601 Å, 90.00 90.00 90.00°
Closest atoms and distances in Å follow each position.
Fractional coordinates of all 5 atoms:
Ba (0.0000, 0.0000, 0.5000)  2 P 3.03
Ba (0.0000, 0.5000, 0.0000)  2 P 3.03
Ba (0.5000, 0.0000, 0.0000)  2 P 3.03
P (0.0000, 0.0000, 0.0000)  6 Ba 3.03
N (0.5000, 0.5000, 0.5000)  12 Ba 4.29

Magnetic moment (μB per formula unit): 0.00
Total DFT energy (no corrections) (eV/atom): -3.57

---

V
In order: 14.73; 17.58; 12.96; 12.31; 14.05; 27.12; 18.11; 44.51
Unit: Å³ per atom